# 1
! Zn, optimized geometry, DFT meta-GGA r2SCAN; values from VASP
! **Offset from the most stable computed form**: 0.000 eV per atom
! **Energy relative to the elements**: 0.0 meV per atom
&SYSTEM
  ibrav = 0, nat = 2, ntyp = 1
/
ATOMIC_SPECIES
Zn 65.41 Zn.upf
CELL_PARAMETERS angstrom
-1.588 2.034 0.420
0.495 -1.692 1.931
3.817 2.695 1.382
ATOMIC_POSITIONS crystal
Zn 0.333 0.667 0.250
Zn 0.667 0.333 0.750



# 2
! GdP2Ru2, optimized geometry, DFT meta-GGA r2SCAN; values from VASP
! **Energy relative to the elements**: -1096.1 meV per atom
&SYSTEM
  ibrav = 0, nat = 5, ntyp = 3
/
ATOMIC_SPECIES
Ru 101.07 Ru.upf
P 30.97 P.upf
Gd 157.25 Gd.upf
CELL_PARAMETERS angstrom
-3.873 -0.714 -0.905
-0.564 -1.592 3.671
1.016 5.509 0.321
ATOMIC_POSITIONS crystal
Ru 0.250 0.750 0.500
Ru 0.750 0.250 0.500
P 0.628 0.628 0.255
P 0.372 0.372 0.745
Gd 0.000 0.000 0.000



# 3
! Dy2InHg, optimized geometry, DFT meta-GGA r2SCAN; values from VASP
! **Energy relative to the elements**: -582.5 meV per atom
&SYSTEM
  ibrav = 0, nat = 4, ntyp = 3
/
ATOMIC_SPECIES
Hg 200.59 Hg.upf
In 114.82 In.upf
Dy 162.50 Dy.upf
CELL_PARAMETERS angstrom
0.560 -5.234 0.013
-2.687 -2.943 -3.439
2.522 -2.387 -3.956
ATOMIC_POSITIONS crystal
Hg 0.500 0.500 0.500
In 0.000 0.000 0.000
Dy 0.250 0.250 0.250
Dy 0.750 0.750 0.750



# 4
! KI, optimized geometry, DFT meta-GGA r2SCAN; values from VASP
! **Energy relative to the elements**: -1644.2 meV per atom
&SYSTEM
  ibrav = 0, nat = 2, ntyp = 2
/
ATOMIC_SPECIES
K 39.10 K.upf
I 126.90 I.upf
CELL_PARAMETERS angstrom
-0.400 1.752 3.897
-4.212 0.496 -0.655
-0.718 -3.886 1.673
ATOMIC_POSITIONS crystal
K 0.000 0.000 0.000
I 0.500 0.500 0.500



# 5
! U2Fe3Si, optimized geometry, DFT meta-GGA r2SCAN; values from VASP
! **Energy relative to the elements**: -128.9 meV per atom
&SYSTEM
  ibrav = 0, nat = 12, ntyp = 3
/
ATOMIC_SPECIES
Fe 55.84 Fe.upf
Si 28.09 Si.upf
U 238.03 U.upf
CELL_PARAMETERS angstrom
1.538 4.373 -2.163
1.708 0.004 -4.819
-6.795 1.200 -2.407
ATOMIC_POSITIONS crystal
Fe 0.664 0.168 0.250
Fe 0.336 0.832 0.750
Fe 0.167 0.168 0.250
Fe 0.167 0.665 0.250
Fe 0.833 0.335 0.750
Fe 0.833 0.832 0.750
Si 0.000 0.000 0.000
Si 0.000 0.000 0.500
U 0.666 0.667 0.065
U 0.666 0.667 0.435
U 0.334 0.333 0.935
U 0.334 0.333 0.565



# 6
! Y3GeS2, optimized geometry, DFT meta-GGA r2SCAN; values from VASP
! **Energy relative to the elements**: -1869.0 meV per atom
&SYSTEM
  ibrav = 0, nat = 6, ntyp = 3
/
ATOMIC_SPECIES
Y 88.91 Y.upf
S 32.06 S.upf
Ge 72.64 Ge.upf
CELL_PARAMETERS angstrom
2.434 3.120 0.750
-2.472 -1.361 2.873
6.934 -6.143 3.057
ATOMIC_POSITIONS crystal
Y 0.000 0.000 0.500
Y 0.667 0.333 0.836
Y 0.333 0.667 0.164
S 0.667 0.333 0.342
S 0.333 0.667 0.658
Ge 0.000 0.000 0.000